# 1
44
Lattice="13.4261 0.0000 0.0000 0.0000 23.6917 0.0000 0.0000 0.0000 4.9700" Properties=species:S:1:pos:R:3 comment="Sr9Cd4Bi9 | the Materials Project | PBE | optimized geometry" density_g_cm3=6.55 e_form_ev_per_atom=-0.717 pbc="T T T"
Sr 0.0000 0.0000 0.0000
Sr 0.8765 9.7361 2.4850
Sr 1.6730 5.5785 2.4850
Sr 1.7788 20.4791 2.4850
Sr 2.8108 14.2734 0.0000
Sr 3.9023 2.4275 0.0000
Sr 4.9343 8.6333 2.4850
Sr 5.0401 17.4244 2.4850
Sr 5.8366 21.5820 2.4850
Sr 6.7131 11.8458 0.0000
Sr 7.5895 2.1097 2.4850
Sr 8.3860 6.2673 2.4850
Sr 8.4919 15.0584 2.4850
Sr 9.5239 21.2641 0.0000
Sr 10.6153 9.4183 0.0000
Sr 11.6473 3.2125 2.4850
Sr 11.7532 18.1132 2.4850
Sr 12.5497 13.9555 2.4850
Cd 1.5256 18.0328 0.0000
Cd 3.0785 10.7603 0.0000
Cd 3.6346 22.6062 0.0000
Cd 5.1874 6.1870 0.0000
Cd 8.2387 17.5047 0.0000
Cd 9.7915 1.0855 0.0000
Cd 10.3477 12.9314 0.0000
Cd 11.9005 5.6589 0.0000
Bi 0.0000 11.8458 0.0000
Bi 0.5828 3.4537 0.0000
Bi 1.5841 16.3959 2.4850
Bi 2.5293 7.8383 0.0000
Bi 2.5314 0.2455 2.4850
Bi 4.1817 12.0914 2.4850
Bi 4.1837 19.6841 0.0000
Bi 5.1290 4.5500 2.4850
Bi 6.1303 15.2995 0.0000
Bi 6.7131 0.0000 0.0000
Bi 7.2959 8.3922 0.0000
Bi 8.2972 19.1417 2.4850
Bi 9.2424 4.0076 0.0000
Bi 9.2445 11.6003 2.4850
Bi 10.8948 23.4462 2.4850
Bi 10.8968 15.8534 0.0000
Bi 11.8421 7.2958 2.4850
Bi 12.8434 20.2380 0.0000


# 2
86
Lattice="9.4061 -9.0051 0.0000 9.4061 9.0051 0.0000 -0.6314 0.0000 18.4703" Properties=species:S:1:pos:R:3 comment="Sr21Cd4Bi18 | the Materials Project | PBE | optimized geometry" magmom_total_mub_per_cell=0.22 density_g_cm3=6.42 e_form_ev_per_atom=-0.831 pbc="T T T"
Sr 6.4124 6.0887 1.1930
Sr 6.9035 6.7168 8.2018
Sr 7.8375 6.7478 16.2841
Sr 4.2984 3.1433 13.7112
Sr 1.2823 0.0000 13.9293
Sr 7.6348 5.9586 12.1222
Sr 10.3433 6.7478 2.1862
Sr 4.1854 0.0000 7.4979
Sr 6.5767 2.3139 10.3694
Sr 10.5460 5.9586 6.3481
Sr 11.2773 6.7168 10.2685
Sr 4.5694 0.0000 1.5194
Sr 7.5398 2.9393 6.5461
Sr 7.7031 2.8085 2.7476
Sr 6.7286 2.1486 17.0691
Sr 11.7684 6.0887 17.2773
Sr 10.6410 2.9393 11.9242
Sr 4.2984 -3.1433 13.7112
Sr 10.4777 2.8085 15.7227
Sr 11.4522 2.1486 1.4012
Sr 6.5767 -2.3139 10.3694
Sr 11.6041 2.3139 8.1009
Sr 6.7286 -2.1486 17.0691
Sr 7.7031 -2.8085 2.7476
Sr 13.8824 3.1433 4.7591
Sr 7.5398 -2.9393 6.5461
Sr 6.4124 -6.0887 1.1930
Sr 11.4522 -2.1486 1.4012
Sr 10.4777 -2.8085 15.7227
Sr 10.6410 -2.9393 11.9242
Sr 13.6115 0.0000 16.9509
Sr 6.9035 -6.7168 8.2018
Sr 7.6348 -5.9586 12.1222
Sr 11.6041 -2.3139 8.1009
Sr 13.9955 0.0000 10.9724
Sr 7.8375 -6.7478 16.2841
Sr 10.5460 -5.9586 6.3481
Sr 16.8985 0.0000 4.5410
Sr 13.8824 -3.1433 4.7591
Sr 10.3433 -6.7478 2.1862
Sr 11.2773 -6.7168 10.2685
Sr 11.7684 -6.0887 17.2773
Cd 4.2337 2.2232 4.6771
Cd 6.0179 0.0000 13.7934
Cd 4.2337 -2.2232 4.6771
Cd 8.9173 0.0000 13.1023
Cd 9.2635 0.0000 5.3680
Cd 13.9471 2.2232 13.7933
Cd 12.1629 0.0000 4.6769
Cd 13.9471 -2.2232 13.7933
Bi 4.2697 3.5614 1.9798
Bi 0.4195 0.0000 7.8240
Bi 4.3144 3.6117 7.5239
Bi 0.7964 0.0000 17.8121
Bi 7.7711 5.7256 4.5006
Bi 2.0660 0.0000 4.5031
Bi 4.1149 0.0000 11.3903
Bi 4.1225 0.0000 16.1836
Bi 9.4061 4.4115 0.0000
Bi 9.0904 4.3983 9.2352
Bi 10.4097 5.7256 13.9697
Bi 7.6396 2.6716 13.7309
Bi 6.3752 0.0000 4.5607
Bi 10.5412 2.6716 4.7395
Bi 4.2697 -3.5614 1.9798
Bi 7.9919 0.0000 8.1399
Bi 4.3144 -3.6117 7.5239
Bi 8.4382 0.0000 1.2104
Bi 9.7426 0.0000 17.2599
Bi 13.8665 3.6117 10.9465
Bi 10.1889 0.0000 10.3304
Bi 13.9111 3.5614 16.4905
Bi 7.6396 -2.6716 13.7309
Bi 11.8056 0.0000 13.9097
Bi 10.5412 -2.6716 4.7395
Bi 7.7711 -5.7256 4.5006
Bi 9.0904 -4.3983 9.2352
Bi 9.4061 -4.4115 0.0000
Bi 14.0583 0.0000 2.2868
Bi 14.0659 0.0000 7.0800
Bi 16.1149 0.0000 13.9672
Bi 10.4097 -5.7256 13.9697
Bi 17.3844 0.0000 0.6582
Bi 13.8665 -3.6117 10.9465
Bi 17.7613 0.0000 10.6463
Bi 13.9111 -3.5614 16.4905


# 3
2
Lattice="4.2301 0.0000 0.0000 0.0000 4.2301 0.0000 0.0000 0.0000 3.5250" Properties=species:S:1:pos:R:3 comment="CeBi | the Materials Project | PBE | optimized geometry" magmom_total_mub_per_cell=1.25 density_g_cm3=9.19 e_form_ev_per_atom=-0.661 pbc="T T T"
Ce 0.0000 0.0000 0.0000
Bi 2.1150 2.1150 1.7625


# 4
2
Lattice="0.0000 3.2609 3.2609 3.2609 0.0000 3.2609 3.2609 3.2609 0.0000" Properties=species:S:1:pos:R:3 comment="CeBi | the Materials Project | PBE | optimized geometry" density_g_cm3=8.36 e_form_ev_per_atom=-0.813 pbc="T T T"
Ce 0.0000 0.0000 0.0000
Bi 3.2609 3.2609 3.2609


# 5
2
Lattice="3.9471 0.0000 0.0000 0.0000 3.9471 0.0000 0.0000 0.0000 3.9471" Properties=species:S:1:pos:R:3 comment="CeBi | the Materials Project | PBE | optimized geometry" magmom_total_mub_per_cell=1.01 density_g_cm3=9.43 e_form_ev_per_atom=-0.636 pbc="T T T"
Ce 0.0000 0.0000 0.0000
Bi 1.9736 1.9736 1.9736


# 6
4
Lattice="-2.3510 2.3510 5.5672 2.3510 -2.3510 5.5672 2.3510 2.3510 -5.5672" Properties=species:S:1:pos:R:3 comment="CeBi3 | the Materials Project | PBE | optimized geometry" density_g_cm3=10.35 e_form_ev_per_atom=-0.439 pbc="T T T"
Ce 0.0000 0.0000 0.0000
Bi 2.3510 0.0000 2.7836
Bi 0.0000 0.0000 5.5672
Bi 0.0000 2.3510 2.7836


Question: What is the formula in the first record?
Answer: Sr9Cd4Bi9